Record 1
{"formula": "YPO4", "functional": "meta-GGA r2SCAN", "state": "relaxed", "cell": [[5.505, 0.002, -1.583], [-3.121, 4.535, -1.583], [-0.001, -0.002, 5.728]], "species": ["P", "Y", "Y", "O", "O", "O", "O", "O", "O", "O", "O", "P"], "fractional_positions": [[0.625, 0.375, 0.250], [0.875, 0.125, 0.750], [0.125, 0.875, 0.250], [0.784, 0.359, 0.075], [0.216, 0.641, 0.925], [0.641, 0.216, 0.425], [0.359, 0.784, 0.575], [0.784, 0.709, 0.425], [0.216, 0.291, 0.575], [0.291, 0.216, 0.075], [0.709, 0.784, 0.925], [0.375, 0.625, 0.750]], "space_group": "I4_1/amd, No. 141", "ef_ev_per_atom": -3.3323}

***

Record 2
{"formula": "YbPO2", "functional": "meta-GGA r2SCAN", "state": "relaxed", "cell": [[6.236, 0.000, 0.000], [0.000, 6.236, 0.000], [-3.118, -3.118, 5.553]], "species": ["O", "Yb", "O", "O", "O", "O", "P", "P", "O", "Yb", "Yb", "O", "Yb", "P", "P", "O"], "fractional_positions": [[0.420, 0.665, 0.840], [0.625, 0.375, 0.250], [0.425, 0.170, 0.340], [0.825, 0.580, 0.160], [0.830, 0.085, 0.660], [0.335, 0.580, 0.160], [0.125, 0.875, 0.750], [0.625, 0.875, 0.750], [0.830, 0.575, 0.660], [0.625, 0.875, 0.250], [0.125, 0.375, 0.750], [0.420, 0.175, 0.840], [0.625, 0.375, 0.750], [0.125, 0.375, 0.250], [0.125, 0.875, 0.250], [0.915, 0.170, 0.340]], "space_group": "I4_1/amd, No. 141", "ef_ev_per_atom": -1.7752}

***

Record 3
{"formula": "ZrP2O7", "functional": "meta-GGA r2SCAN", "state": "relaxed", "cell": [[-0.513, 0.701, 5.365], [6.682, -0.870, 0.752], [1.194, 8.327, -0.974]], "species": ["O", "O", "Zr", "O", "O", "P", "O", "O", "P", "O", "O", "O", "O", "O", "P", "Zr", "O", "O", "P", "O"], "fractional_positions": [[0.500, 0.119, 0.724], [0.731, 0.302, 0.933], [0.500, 0.000, 0.500], [0.000, 0.381, 0.224], [0.269, 0.698, 0.067], [0.000, 0.689, 0.607], [0.769, 0.198, 0.433], [0.500, 0.000, 0.000], [0.500, 0.811, 0.107], [0.269, 0.302, 0.933], [0.000, 0.500, 0.500], [0.000, 0.619, 0.776], [0.500, 0.881, 0.276], [0.731, 0.698, 0.067], [0.500, 0.189, 0.893], [0.000, 0.500, 0.000], [0.231, 0.198, 0.433], [0.769, 0.802, 0.567], [0.000, 0.311, 0.393], [0.231, 0.802, 0.567]], "space_group": "Pnnm, No. 58", "ef_ev_per_atom": -2.8822}

***

Record 4
{"formula": "Zr6P2O", "functional": "meta-GGA r2SCAN", "state": "relaxed", "cell": [[1.766, 5.408, 0.003], [-1.766, 5.408, 0.003], [0.000, 0.282, 8.373]], "species": ["Zr", "Zr", "O", "Zr", "Zr", "P", "P", "Zr", "Zr"], "fractional_positions": [[0.860, 0.860, 0.941], [0.862, 0.862, 0.549], [0.500, 0.500, 0.500], [0.437, 0.437, 0.246], [0.563, 0.563, 0.754], [0.747, 0.747, 0.250], [0.253, 0.253, 0.750], [0.140, 0.140, 0.059], [0.138, 0.138, 0.451]], "space_group": "C2/m, No. 12", "ef_ev_per_atom": -1.4438}

***

Record 5
{"formula": "ZrP2O7", "functional": "meta-GGA r2SCAN", "state": "relaxed", "cell": [[8.457, 0.000, 0.000], [0.000, 8.457, 0.000], [0.000, 0.000, 8.457]], "species": ["P", "O", "O", "Zr", "Zr", "O", "P", "O", "O", "P", "O", "P", "O", "O", "O", "O", "O", "O", "O", "O", "O", "O", "O", "O", "O", "O", "O", "P", "P", "O", "P", "O", "Zr", "O", "O", "O", "O", "P", "Zr", "O"], "fractional_positions": [[0.107, 0.607, 0.893], [0.776, 0.922, 0.057], [0.500, 0.500, 0.500], [0.500, 0.500, 0.000], [0.000, 0.000, 0.000], [0.000, 0.000, 0.500], [0.107, 0.893, 0.393], [0.000, 0.500, 0.000], [0.422, 0.443, 0.224], [0.607, 0.607, 0.607], [0.422, 0.057, 0.724], [0.393, 0.107, 0.893], [0.078, 0.557, 0.724], [0.578, 0.557, 0.776], [0.276, 0.922, 0.443], [0.276, 0.578, 0.943], [0.224, 0.422, 0.443], [0.724, 0.422, 0.057], [0.557, 0.776, 0.578], [0.057, 0.776, 0.922], [0.057, 0.724, 0.422], [0.922, 0.443, 0.276], [0.443, 0.224, 0.422], [0.078, 0.943, 0.224], [0.557, 0.724, 0.078], [0.224, 0.078, 0.943], [0.776, 0.578, 0.557], [0.893, 0.393, 0.107], [0.393, 0.393, 0.393], [0.443, 0.276, 0.922], [0.893, 0.107, 0.607], [0.500, 0.000, 0.000], [0.500, 0.000, 0.500], [0.578, 0.943, 0.276], [0.943, 0.276, 0.578], [0.943, 0.224, 0.078], [0.724, 0.078, 0.557], [0.607, 0.893, 0.107], [0.000, 0.500, 0.500], [0.922, 0.057, 0.776]], "space_group": "Pa-3, No. 205", "ef_ev_per_atom": -2.8839}

***

Record 6
{"formula": "Zr2P2O9", "functional": "meta-GGA r2SCAN", "state": "relaxed", "cell": [[-4.481, -2.460, -5.670], [1.647, -0.670, -7.424], [1.020, -8.609, -5.220]], "species": ["O", "O", "O", "O", "O", "O", "O", "O", "O", "P", "O", "P", "Zr", "Zr", "Zr", "O", "O", "O", "Zr", "O", "O", "P", "P", "O", "O", "O"], "fractional_positions": [[0.004, 0.626, 0.641], [0.242, 0.618, 0.895], [0.114, 0.114, 0.844], [0.035, 0.035, 0.642], [0.732, 0.732, 0.097], [0.965, 0.965, 0.358], [0.886, 0.886, 0.156], [0.727, 0.727, 0.525], [0.516, 0.516, 0.366], [0.593, 0.593, 0.165], [0.374, 0.996, 0.359], [0.170, 0.170, 0.457], [0.057, 0.057, 0.098], [0.316, 0.316, 0.635], [0.684, 0.684, 0.365], [0.382, 0.758, 0.105], [0.758, 0.382, 0.105], [0.268, 0.268, 0.903], [0.943, 0.943, 0.902], [0.273, 0.273, 0.475], [0.626, 0.004, 0.641], [0.407, 0.407, 0.835], [0.830, 0.830, 0.543], [0.618, 0.242, 0.895], [0.996, 0.374, 0.359], [0.484, 0.484, 0.634]], "space_group": "C2/m, No. 12", "ef_ev_per_atom": -3.1254}

***

Record 7
{"formula": "Zr2P3O12", "functional": "meta-GGA r2SCAN", "state": "relaxed", "cell": [[-4.562, 4.529, -6.548], [3.539, 1.165, -8.385], [-3.458, -4.331, -7.313]], "species": ["O", "Zr", "O", "O", "P", "O", "Zr", "P", "O", "P", "Zr", "O", "O", "O", "O", "O", "O", "O", "O", "O", "O", "Zr", "O", "P", "O", "O", "P", "O", "O", "O", "P", "O", "O", "O"], "fractional_positions": [[0.001, 0.634, 0.777], [0.140, 0.140, 0.140], [0.700, 0.083, 0.941], [0.441, 0.583, 0.200], [0.750, 0.031, 0.469], [0.800, 0.559, 0.417], [0.360, 0.360, 0.360], [0.250, 0.969, 0.531], [0.559, 0.417, 0.800], [0.531, 0.250, 0.969], [0.860, 0.860, 0.860], [0.223, 0.999, 0.366], [0.300, 0.917, 0.059], [0.917, 0.059, 0.300], [0.083, 0.941, 0.700], [0.583, 0.200, 0.441], [0.866, 0.499, 0.723], [0.634, 0.777, 0.001], [0.417, 0.800, 0.559], [0.277, 0.134, 0.501], [0.059, 0.300, 0.917], [0.640, 0.640, 0.640], [0.134, 0.501, 0.277], [0.969, 0.531, 0.250], [0.777, 0.001, 0.634], [0.501, 0.277, 0.134], [0.469, 0.750, 0.031], [0.366, 0.223, 0.999], [0.499, 0.723, 0.866], [0.941, 0.700, 0.083], [0.031, 0.469, 0.750], [0.723, 0.866, 0.499], [0.200, 0.441, 0.583], [0.999, 0.366, 0.223]], "space_group": "R-3c, No. 167", "ef_ev_per_atom": -2.8428}

***

Record 8
{"formula": "Zr2P2O9", "functional": "meta-GGA r2SCAN", "state": "relaxed", "cell": [[3.684, 2.764, 2.960], [-3.894, 3.653, -1.213], [-5.833, -2.906, 9.972]], "species": ["O", "O", "Zr", "O", "O", "O", "O", "O", "O", "P", "O", "P", "O", "Zr", "Zr", "O", "P", "O", "O", "O", "Zr", "O", "O", "O", "P", "O"], "fractional_positions": [[0.063, 0.937, 0.123], [0.000, 0.000, 0.500], [0.706, 0.294, 0.937], [0.861, 0.139, 0.271], [0.563, 0.437, 0.377], [0.139, 0.861, 0.729], [0.015, 0.635, 0.915], [0.437, 0.563, 0.623], [0.639, 0.361, 0.771], [0.607, 0.393, 0.647], [0.500, 0.500, 0.000], [0.893, 0.107, 0.147], [0.515, 0.135, 0.585], [0.206, 0.794, 0.563], [0.794, 0.206, 0.437], [0.635, 0.015, 0.085], [0.393, 0.607, 0.353], [0.985, 0.365, 0.085], [0.361, 0.639, 0.229], [0.865, 0.485, 0.585], [0.294, 0.706, 0.063], [0.485, 0.865, 0.415], [0.937, 0.063, 0.877], [0.365, 0.985, 0.915], [0.107, 0.893, 0.853], [0.135, 0.515, 0.415]], "space_group": "Cmce, No. 64", "ef_ev_per_atom": -3.1272}

***

Record 9
{"formula": "PmPaO4", "functional": "meta-GGA r2SCAN", "state": "relaxed", "cell": [[-5.867, -0.121, 3.115], [-3.925, 4.682, -2.612], [3.577, -4.828, -2.836]], "species": ["O", "O", "Pm", "O", "O", "O", "O", "Pa", "O", "Pm", "Pa", "O"], "fractional_positions": [[0.375, 0.858, 0.983], [0.142, 0.625, 0.017], [0.750, 0.250, 0.500], [0.875, 0.392, 0.017], [0.875, 0.858, 0.483], [0.142, 0.125, 0.517], [0.375, 0.392, 0.517], [0.250, 0.750, 0.500], [0.608, 0.125, 0.983], [0.000, 0.000, 0.000], [0.500, 0.500, 0.000], [0.608, 0.625, 0.483]], "space_group": "I4_1/amd, No. 141", "polymorph_energy_mev_per_atom": 0, "ef_ev_per_atom": -4.0123}

***

Record 10
{"formula": "PmPaO4", "functional": "meta-GGA r2SCAN", "state": "relaxed", "cell": [[3.829, 0.000, 0.000], [0.000, 3.829, 0.000], [0.000, 0.000, 5.494]], "species": ["Pm", "O", "O", "Pa", "O", "O"], "fractional_positions": [[0.000, 0.000, 0.000], [0.500, 0.000, 0.267], [0.000, 0.500, 0.267], [0.500, 0.500, 0.500], [0.000, 0.500, 0.733], [0.500, 0.000, 0.733]], "space_group": "P4/mmm, No. 123", "polymorph_energy_mev_per_atom": 4, "ef_ev_per_atom": -4.0080}

***

Record 11
{"formula": "PrPaO4", "functional": "meta-GGA r2SCAN", "state": "relaxed", "cell": [[-3.560, 1.417, 0.389], [-1.401, -2.968, -2.015], [-0.639, -2.902, 4.719]], "species": ["O", "O", "Pr", "O", "O", "Pa"], "fractional_positions": [[0.500, 0.000, 0.729], [0.000, 0.500, 0.729], [0.000, 0.000, 0.000], [0.500, 0.000, 0.271], [0.000, 0.500, 0.271], [0.500, 0.500, 0.500]], "space_group": "P4/mmm, No. 123", "ef_ev_per_atom": -3.9493}

***

Record 12
{"formula": "PrPaO4", "functional": "meta-GGA r2SCAN", "state": "relaxed", "cell": [[-2.760, 2.760, 5.434], [2.760, -2.760, 5.434], [2.760, 2.760, -5.434]], "species": ["O", "Pr", "Pa", "O", "O", "O", "O", "O", "O", "Pr", "Pa", "O"], "fractional_positions": [[0.375, 0.853, 0.978], [0.000, 0.000, 0.000], [0.250, 0.750, 0.500], [0.147, 0.125, 0.522], [0.603, 0.625, 0.478], [0.375, 0.397, 0.522], [0.875, 0.853, 0.478], [0.603, 0.125, 0.978], [0.875, 0.397, 0.022], [0.750, 0.250, 0.500], [0.500, 0.500, 0.000], [0.147, 0.625, 0.022]], "space_group": "I4_1/amd, No. 141", "ef_ev_per_atom": -3.9548}

***

Record 13
{"formula": "ScPaO4", "functional": "meta-GGA r2SCAN", "state": "relaxed", "cell": [[-2.608, 2.608, 5.253], [2.608, -2.608, 5.253], [2.608, 2.608, -5.253]], "species": ["Sc", "Sc", "O", "O", "O", "Pa", "O", "Pa", "O", "O", "O", "O"], "fractional_positions": [[0.750, 0.250, 0.500], [0.000, 0.000, 0.000], [0.375, 0.373, 0.498], [0.875, 0.877, 0.502], [0.627, 0.125, 0.002], [0.500, 0.500, 0.000], [0.375, 0.877, 0.002], [0.250, 0.750, 0.500], [0.875, 0.373, 0.998], [0.627, 0.625, 0.502], [0.123, 0.625, 0.998], [0.123, 0.125, 0.498]], "space_group": "I4_1/amd, No. 141", "ef_ev_per_atom": -3.9135}

***

Record 14
{"formula": "ScPaO4", "functional": "meta-GGA r2SCAN", "state": "relaxed", "cell": [[3.715, 0.000, 0.000], [0.000, 3.715, 0.000], [0.000, 0.000, 5.179]], "species": ["O", "Sc", "O", "O", "O", "Pa"], "fractional_positions": [[0.000, 0.500, 0.752], [0.000, 0.000, 0.000], [0.000, 0.500, 0.248], [0.500, 0.000, 0.248], [0.500, 0.000, 0.752], [0.500, 0.500, 0.500]], "space_group": "P4/mmm, No. 123", "ef_ev_per_atom": -3.9139}

***

Record 15
{"formula": "SmPaO4", "functional": "meta-GGA r2SCAN", "state": "relaxed", "cell": [[3.822, 0.000, 0.000], [0.000, 3.822, 0.000], [0.000, 0.000, 5.469]], "species": ["O", "O", "O", "O", "Pa", "Sm"], "fractional_positions": [[0.500, 0.000, 0.735], [0.000, 0.500, 0.265], [0.500, 0.000, 0.265], [0.000, 0.500, 0.735], [0.500, 0.500, 0.500], [0.000, 0.000, 0.000]], "space_group": "P4/mmm, No. 123", "ef_ev_per_atom": -4.0152}

***

Record 16
{"formula": "SmPaO4", "functional": "meta-GGA r2SCAN", "state": "relaxed", "cell": [[-2.721, 2.721, 5.398], [2.721, -2.721, 5.398], [2.721, 2.721, -5.398]], "species": ["Sm", "O", "O", "O", "Pa", "O", "O", "Pa", "O", "O", "Sm", "O"], "fractional_positions": [[0.750, 0.250, 0.500], [0.609, 0.125, 0.984], [0.375, 0.391, 0.516], [0.141, 0.625, 0.016], [0.500, 0.500, 0.000], [0.375, 0.859, 0.984], [0.141, 0.125, 0.516], [0.250, 0.750, 0.500], [0.875, 0.391, 0.016], [0.875, 0.859, 0.484], [0.000, 0.000, 0.000], [0.609, 0.625, 0.484]], "space_group": "I4_1/amd, No. 141", "ef_ev_per_atom": -4.0189}

***

Record 17
{"formula": "TmPaO4", "functional": "meta-GGA r2SCAN", "state": "relaxed", "cell": [[-3.537, -1.277, 0.166], [0.844, -2.668, -2.518], [1.368, -3.278, 3.932]], "species": ["O", "Pa", "O", "Tm", "O", "O"], "fractional_positions": [[0.500, 0.000, 0.255], [0.500, 0.500, 0.500], [0.000, 0.500, 0.745], [0.000, 0.000, 0.000], [0.500, 0.000, 0.745], [0.000, 0.500, 0.255]], "space_group": "P4/mmm, No. 123", "ef_ev_per_atom": -4.0922}

***

Record 18
{"formula": "YPaO4", "functional": "meta-GGA r2SCAN", "state": "relaxed", "cell": [[-2.683, 2.683, 5.356], [2.683, -2.683, 5.356], [2.683, 2.683, -5.356]], "species": ["O", "O", "O", "Pa", "Pa", "O", "O", "O", "Y", "O", "Y", "O"], "fractional_positions": [[0.135, 0.125, 0.510], [0.615, 0.125, 0.990], [0.135, 0.625, 0.010], [0.250, 0.750, 0.500], [0.500, 0.500, 0.000], [0.375, 0.865, 0.990], [0.375, 0.385, 0.510], [0.875, 0.865, 0.490], [0.000, 0.000, 0.000], [0.615, 0.625, 0.490], [0.750, 0.250, 0.500], [0.875, 0.385, 0.010]], "space_group": "I4_1/amd, No. 141", "ef_ev_per_atom": -4.0603}